(1)
{"formula": "LiDyS2", "functional": "PBE", "state": "optimized geometry", "crystal_system": "trigonal", "lattice": [[1.9561, 1.1294, 6.1761], [-1.9561, 1.1294, 6.1761], [0.0000, -2.2588, 6.1761]], "species": ["Li", "Dy", "S", "S"], "frac_coords": [[0.0000, 0.0000, 0.0000], [0.5000, 0.5000, 0.5000], [0.2501, 0.2501, 0.2501], [0.7499, 0.7499, 0.7499]]}

(2)
{"formula": "LiAg3", "functional": "PBE", "state": "optimized geometry", "crystal_system": "cubic", "lattice": [[4.1015, 0.0000, 0.0000], [0.0000, 4.1015, 0.0000], [0.0000, 0.0000, 4.1015]], "species": ["Li", "Ag", "Ag", "Ag"], "frac_coords": [[0.0000, 0.0000, 0.0000], [0.0000, 0.5000, 0.5000], [0.5000, 0.0000, 0.5000], [0.5000, 0.5000, 0.0000]]}

(3)
{"formula": "Sr2GaSbO6", "functional": "PBE", "state": "optimized geometry", "relative_energy_ev_per_fu": 0.13, "magnetic_moment_mub_per_atom": 0.00, "crystal_system": "cubic", "lattice": [[0.0000, 3.9887, 3.9887], [3.9887, 0.0000, 3.9887], [3.9887, 3.9887, 0.0000]], "species": ["Sr", "Sr", "Ga", "Sb", "O", "O", "O", "O", "O", "O"], "frac_coords": [[0.2500, 0.2500, 0.2500], [0.7500, 0.7500, 0.7500], [0.0000, 0.0000, 0.0000], [0.5000, 0.5000, 0.5000], [0.2501, 0.2501, 0.7499], [0.2501, 0.7499, 0.2501], [0.2501, 0.7499, 0.7499], [0.7499, 0.2501, 0.2501], [0.7499, 0.2501, 0.7499], [0.7499, 0.7499, 0.2501]]}

(4)
{"formula": "BaMg6Al", "functional": "PBE", "state": "optimized geometry", "relative_energy_ev_per_fu": 0.32, "magnetic_moment_mub_per_atom": 0.00, "lattice": [[-3.8923, 1.6883, -2.8419], [-4.5726, -2.2025, 4.9542], [0.6948, 10.6547, 5.3780]], "species": ["Ba", "Ba", "Mg", "Mg", "Mg", "Mg", "Mg", "Mg", "Mg", "Mg", "Mg", "Mg", "Mg", "Mg", "Al", "Al"], "frac_coords": [[0.5000, 0.5000, 0.1686], [0.5000, 0.0000, 0.6686], [0.0000, 0.2171, 0.0724], [0.0000, 0.7829, 0.0724], [0.0000, 0.5000, 0.8339], [0.5000, 0.2340, 0.9189], [0.5000, 0.7660, 0.9189], [0.5000, 0.5000, 0.6625], [0.0000, 0.7171, 0.5724], [0.0000, 0.2829, 0.5724], [0.0000, 0.0000, 0.3339], [0.5000, 0.7340, 0.4189], [0.5000, 0.2660, 0.4189], [0.5000, 0.0000, 0.1625], [0.0000, 0.5000, 0.3526], [0.0000, 0.0000, 0.8526]]}

no.,calculated volume (A^3/atom),energy relative to the elements (eV per formula unit)
1,20.47,-8.4
2,17.25,-0.6
3,12.69,-26.2
4,27.06,0.8